An optimized crystal structure of Hg4BiSe2Cl5, computed with PBE.

energy of formation = -19.79 kcal/mol of atoms

a = 9.729 Å, b = 10.683 Å, c = 16.977 Å
α = 90.00°, β = 120.65°, γ = 90.00°
Positions (direct):
Hg: 0.011 0.006 0.353
Hg: 0.011 0.494 0.853
Hg: 0.015 0.246 0.008
Hg: 0.015 0.254 0.508
Hg: 0.329 0.749 0.450
Hg: 0.329 0.751 0.950
Hg: 0.356 0.249 0.953
Hg: 0.356 0.251 0.453
Hg: 0.644 0.749 0.547
Hg: 0.644 0.751 0.047
Hg: 0.671 0.249 0.050
Hg: 0.671 0.251 0.550
Hg: 0.985 0.746 0.492
Hg: 0.985 0.754 0.992
Hg: 0.989 0.506 0.147
Hg: 0.989 0.994 0.647
Bi: 0.482 0.000 0.235
Bi: 0.482 0.500 0.735
Bi: 0.518 0.000 0.765
Bi: 0.518 0.500 0.265
Se: 0.018 0.733 0.853
Se: 0.018 0.767 0.353
Se: 0.044 0.243 0.368
Se: 0.044 0.257 0.868
Se: 0.956 0.743 0.132
Se: 0.956 0.757 0.632
Se: 0.982 0.233 0.647
Se: 0.982 0.267 0.147
Cl: 0.235 0.527 0.560
Cl: 0.235 0.973 0.060
Cl: 0.263 0.537 0.092
Cl: 0.263 0.963 0.592
Cl: 0.288 0.001 0.303
Cl: 0.288 0.499 0.803
Cl: 0.302 0.502 0.327
Cl: 0.302 0.998 0.827
Cl: 0.436 0.243 0.203
Cl: 0.436 0.257 0.703
Cl: 0.564 0.743 0.297
Cl: 0.564 0.757 0.797
Cl: 0.698 0.002 0.173
Cl: 0.698 0.498 0.673
Cl: 0.712 0.501 0.197
Cl: 0.712 0.999 0.697
Cl: 0.737 0.037 0.408
Cl: 0.737 0.463 0.908
Cl: 0.765 0.027 0.940
Cl: 0.765 0.473 0.440